No. 1
First-principles (GGA-PBE) data for crystalline CoPSe at its relaxed geometry, as listed in the Materials Project database.

VASP energy = -5.7702 eV/atom
symmetry = P2_13
corrected total energy (MP2020 scheme) = -5.928 eV per atom
energy of formation = -0.59 eV/atom

extended XYZ file:
```
12
Lattice="5.608 0.000 0.000 0.000 5.608 0.000 0.000 0.000 5.608" Properties=species:S:1:pos:R:3 pbc="T T T"
Co 0.063 2.741 2.867
Co 2.741 2.867 0.063
Co 2.867 0.063 2.741
Co 5.545 5.545 5.545
P 0.675 3.479 4.933
P 2.129 2.129 2.129
P 3.479 4.933 0.675
P 4.933 0.675 3.479
Se 0.672 4.936 2.132
Se 2.132 0.672 4.936
Se 3.476 3.476 3.476
Se 4.936 2.132 0.672
```



No. 2
First-principles (GGA-PBE) data for crystalline SmCo5P3 at its relaxed geometry, as listed in the Materials Project database.

VASP energy = -7.0847 eV/atom
symmetry = Pnma
energy of formation = -0.81 eV/atom

extended XYZ file:
```
36
Lattice="11.814 0.000 0.000 0.000 3.680 0.000 0.000 0.000 10.370" Properties=species:S:1:pos:R:3 pbc="T T T"
Sm 2.393 0.920 0.864
Sm 3.514 2.760 6.049
Sm 8.299 0.920 4.321
Sm 9.421 2.760 9.506
Co 0.117 2.760 7.408
Co 0.131 2.760 0.975
Co 0.799 2.760 4.856
Co 2.075 0.920 8.080
Co 2.330 0.920 3.962
Co 3.577 2.760 9.147
Co 3.832 2.760 2.895
Co 5.108 0.920 10.041
Co 5.776 0.920 6.160
Co 5.790 0.920 2.223
Co 6.024 2.760 8.147
Co 6.038 2.760 4.210
Co 6.706 2.760 0.329
Co 7.982 0.920 7.475
Co 8.237 0.920 1.223
Co 9.483 2.760 6.409
Co 9.738 2.760 2.290
Co 11.014 0.920 5.514
Co 11.683 0.920 9.395
Co 11.696 0.920 2.962
P 1.277 2.760 9.296
P 1.314 0.920 6.034
P 1.537 2.760 2.829
P 4.370 0.920 8.014
P 4.593 2.760 0.848
P 4.630 0.920 4.111
P 7.184 2.760 6.259
P 7.221 0.920 9.522
P 7.444 2.760 2.356
P 10.277 0.920 7.541
P 10.499 2.760 4.337
P 10.536 0.920 1.074
```



> Among the records above, which one has the highest energy of formation?

CoPSe



Copy entry 1 word for word.
First-principles (GGA-PBE) data for crystalline CoPSe at its relaxed geometry, as listed in the Materials Project database.

VASP energy = -5.7702 eV/atom
symmetry = P2_13
corrected total energy (MP2020 scheme) = -5.928 eV per atom
energy of formation = -0.59 eV/atom

extended XYZ file:
```
12
Lattice="5.608 0.000 0.000 0.000 5.608 0.000 0.000 0.000 5.608" Properties=species:S:1:pos:R:3 pbc="T T T"
Co 0.063 2.741 2.867
Co 2.741 2.867 0.063
Co 2.867 0.063 2.741
Co 5.545 5.545 5.545
P 0.675 3.479 4.933
P 2.129 2.129 2.129
P 3.479 4.933 0.675
P 4.933 0.675 3.479
Se 0.672 4.936 2.132
Se 2.132 0.672 4.936
Se 3.476 3.476 3.476
Se 4.936 2.132 0.672
```



> Which value of energy of formation does entry 1 give?

-0.59 eV/atom